1.
104
Lattice="-3.3823 -5.0777 2.5327 9.2581 -4.5427 3.2562 -1.2983 8.8973 16.1039" Properties=species:S:1:pos:R:3 comment="Na4Fe3P4O15, optimized geometry, DFT GGA+U" volume_a3_per_cell=1317.6 final_energy_ev_per_cell=-673.450 energy_corrected_mp2020_ev_per_atom=-7.132 pbc="T T T"
Na 2.0333 4.9310 18.3772
Na 1.9676 -6.5198 3.9474
Na 5.5974 -4.1707 13.5043
Na -1.5965 2.5819 8.8203
Na -0.0128 4.0560 14.5559
Na 3.7525 -6.0370 7.9643
Na 3.0424 -1.5584 15.9948
Na 0.6972 -0.4226 6.5254
Na 2.6855 -0.3946 19.3649
Na 0.4600 -2.4785 3.6003
Na 0.1270 1.8150 11.7635
Na 3.0184 -4.6881 11.2017
Na -1.5253 7.3578 16.1690
Na 6.4376 -7.5784 5.4731
Na 1.9675 -1.2549 12.1812
Na 2.9448 1.0343 9.4610
Fe -3.2155 4.1911 15.0825
Fe 8.5579 -3.7660 6.2376
Fe 3.3277 2.9304 12.6784
Fe 2.0147 -2.5054 8.6417
Fe 7.9780 0.5696 13.8607
Fe -2.5199 0.0292 7.3728
Fe 1.3737 2.2489 17.0225
Fe 4.0844 -1.6501 4.2110
Fe -1.5750 1.1365 14.8769
Fe 5.4539 -2.9086 7.5391
Fe 4.7192 1.5820 15.5610
Fe -0.8403 -3.3541 6.8551
P -1.4310 6.4326 13.1310
P 6.8573 -5.8816 8.1262
P 1.6246 0.8161 14.5661
P 3.8017 -0.2650 6.6912
P 6.2110 -1.5557 15.7275
P -0.7029 2.2295 5.4685
P 3.0916 4.4978 15.0834
P 2.4164 -3.8240 6.1126
P -1.1817 -5.5106 4.3445
P 4.1698 2.4013 18.7385
P 4.6609 -1.9697 10.6309
P -1.6727 -1.1395 12.4520
P -1.3893 4.0029 17.7221
P 6.5047 -3.9187 3.7680
P 5.4474 0.7302 11.6764
P -0.3321 -0.6460 9.8137
O -0.2106 5.6581 12.5145
O 5.9091 -4.6984 8.5389
O 2.7045 1.0042 15.6920
O 2.9940 -0.0445 5.3614
O 4.7339 -1.7093 19.2359
O -1.4986 -1.0290 3.6621
O 2.0500 1.3600 13.1904
O 1.1853 -4.0983 9.7076
O -1.8518 5.7162 14.4380
O 5.9803 -7.1134 7.7910
O 1.3199 -0.6965 14.4321
O 2.8086 -0.7007 7.7969
O 6.7525 1.8283 15.2380
O -1.4869 -1.5185 6.1397
O 0.4152 1.6783 15.0889
O 4.8504 -1.3685 6.2887
O -2.1236 2.8140 13.7329
O 7.4844 -2.3613 7.5734
O 4.1494 3.4052 14.6807
O 1.2114 -2.9525 6.6257
O -2.1486 3.3350 11.2598
O 5.4951 -5.9063 11.5549
O 0.4737 0.6877 18.0691
O 2.8728 -3.2591 4.7456
O 5.2125 -0.4075 16.1367
O 0.5152 1.4110 4.8948
O 2.2313 4.6991 13.7787
O 3.4964 -3.6956 7.2529
O 5.3625 -2.8134 15.4258
O -1.1708 1.5110 6.7560
O 2.1291 4.0220 16.1969
O 2.0626 -5.3244 5.9849
O -2.4351 3.2930 18.8059
O 6.0179 -5.5095 3.8318
O 4.4971 -0.6332 11.5772
O -0.9143 -1.5833 11.0605
O 3.0135 -1.6421 2.3086
O 2.6363 2.5287 18.7813
O 5.4447 -2.9795 11.4888
O 0.2051 3.8660 9.6011
O -0.6229 -4.1692 4.8064
O 4.7785 2.8126 17.4024
O 5.3620 -1.6038 9.3274
O -1.2064 0.2472 12.8814
O 0.7037 -0.5935 2.1107
O 4.6381 1.0177 19.2098
O 3.2046 -2.4091 10.4254
O 2.1372 2.8333 10.8952
O 0.0365 3.6576 18.1834
O 5.3735 -3.1309 3.0860
O 6.8924 0.2540 11.9005
O -1.4823 0.2728 9.3689
O -1.7215 3.3546 16.3735
O 6.6819 -3.5030 5.2326
O 4.9088 1.4972 12.8892
O 0.0517 -1.6455 8.7169
O -1.7241 5.4893 17.7701
O 7.8151 -3.9404 2.9894
O 5.2228 1.4618 10.3579
O 0.8682 0.0872 10.4016

***

2.
28
Lattice="4.9825 -0.0001 -0.0042 -0.0001 6.3517 0.0000 -0.0087 0.0000 10.5544" Properties=species:S:1:pos:R:3 comment="NaFePO4, optimized geometry, DFT GGA+U" volume_a3_per_cell=334.0 final_energy_ev_per_cell=-187.439 e_above_lowest_polymorph_mev_per_atom=5 energy_corrected_mp2020_ev_per_atom=-7.409 pbc="T T T"
Na 4.9737 6.3515 10.5499
Na 2.4867 0.0000 5.2754
Na 4.9737 3.1757 10.5500
Na 2.4867 3.1758 5.2753
Fe 2.4285 4.7639 2.2475
Fe 2.5444 1.5879 8.3019
Fe 0.0495 4.7633 7.5245
Fe 4.9239 1.5880 3.0260
P 2.7837 4.7637 9.4131
P 4.6758 4.7637 4.1361
P 2.1905 1.5879 1.1371
P 0.2978 1.5877 6.4144
O 3.7308 1.5879 1.2239
O 1.2432 4.7636 9.3262
O 3.7407 1.5879 6.4965
O 1.2329 4.7638 4.0546
O 3.2617 4.7636 0.3450
O 1.7125 1.5879 10.2052
O 0.7651 1.5879 4.9249
O 4.2080 4.7638 5.6257
O 0.9629 2.8238 7.1158
O 3.4463 3.5267 8.7095
O 4.0108 6.0000 3.4342
O 1.5282 0.3509 1.8409
O 4.0109 3.5274 3.4343
O 1.5283 2.8251 1.8408
O 0.9627 0.3514 7.1157
O 3.4461 6.0009 8.7097

***

3.
28
Lattice="-0.0004 0.0006 5.1076 6.9312 -0.0038 -0.0005 -0.0050 9.1132 0.0010" Properties=species:S:1:pos:R:3 comment="NaFePO4, optimized geometry, DFT GGA+U" volume_a3_per_cell=322.6 final_energy_ev_per_cell=-187.575 e_above_lowest_polymorph_mev_per_atom=0 energy_corrected_mp2020_ev_per_atom=-7.414 pbc="T T T"
Na 1.7301 3.1731 4.9622
Na 1.7276 7.7295 2.7001
Na 5.1956 5.9368 0.1459
Na 5.1982 1.3804 2.4080
Fe 3.4656 -0.0019 -0.0002
Fe 3.4629 4.5550 2.5541
Fe 6.9284 4.5531 2.5538
Fe 0.0000 0.0001 0.0001
P 1.7308 6.1546 0.1758
P 1.7334 1.5983 2.3786
P 5.1950 2.9554 4.9323
P 5.1924 7.5117 2.7295
O 1.7296 5.6149 3.8211
O 1.7323 1.0581 3.8410
O 5.1961 3.4951 1.2870
O 5.1935 8.0518 1.2670
O 1.7305 7.7257 0.2226
O 1.7320 3.1694 2.3319
O 5.1953 1.3842 4.8855
O 5.1937 5.9405 2.7761
O 0.4681 5.6600 0.9212
O 2.9966 1.1025 1.6358
O 3.9320 3.4516 4.1891
O 6.4547 8.0066 3.4753
O 6.4576 3.4500 4.1869
O 3.9292 8.0075 3.4724
O 2.9937 5.6584 0.9190
O 0.4710 1.1033 1.6328

***

4.
28
Lattice="2.7450 4.2672 0.0001 -2.7450 4.2672 0.0001 0.0002 0.0003 13.7761" Properties=species:S:1:pos:R:3 comment="NaFePO4, optimized geometry, DFT GGA+U" volume_a3_per_cell=322.7 final_energy_ev_per_cell=-187.413 e_above_lowest_polymorph_mev_per_atom=6 energy_corrected_mp2020_ev_per_atom=-7.408 pbc="T T T"
Na 0.0002 2.6944 5.1661
Na 0.0002 2.6951 12.0540
Na 0.0000 5.8394 1.7224
Na 0.0001 5.8397 8.6101
Fe 0.0001 8.5341 6.8881
Fe 0.0003 8.5338 10.3325
Fe 0.0002 8.5340 13.7760
Fe 0.0001 8.5338 3.4438
P -0.0001 2.8692 1.7218
P 0.0001 2.8697 8.6103
P 0.0002 5.6654 5.1662
P 0.0002 5.6656 12.0545
O -1.2779 3.7826 1.7220
O -1.2776 3.7829 8.6103
O -1.2775 4.7519 5.1661
O -1.2774 4.7522 12.0546
O 1.2777 3.7826 1.7219
O 1.2779 3.7828 8.6102
O 1.2779 4.7520 5.1661
O 1.2778 4.7521 12.0543
O -0.0001 1.9746 0.4658
O 0.0001 1.9743 7.3546
O -0.0002 1.9740 2.9775
O 0.0002 1.9745 9.8661
O 0.0002 6.5606 3.9105
O 0.0001 6.5609 10.7988
O 0.0002 6.5609 6.4217
O 0.0003 6.5608 13.3101